# 1
## Li7VO5F (PBE+U)

Data for crystalline Li7VO5F at its relaxed geometry.

```
Li7VO5F
1.0
5.3779 0.0000 0.0000
-2.6409 4.7135 0.0000
-0.0368 -3.1071 5.0309
Li V O F
7 1 5 1
Direct
0.0000 0.0000 0.0000
0.0123 0.5244 0.3113
0.2720 0.1297 0.6824
0.3101 0.6567 0.0417
0.4398 0.1888 0.2818
0.7611 0.8618 0.2997
0.8167 0.4193 0.6957
0.4855 0.7280 0.6511
0.1404 0.2884 0.4091
0.2991 0.9022 0.8881
0.4390 0.9133 0.4280
0.6021 0.6186 0.9008
0.7629 0.6533 0.4866
0.9358 0.2749 0.9258
```

Results
ΔE_f in eV/atom: -2.340
Spin magnetization in μB per cell: 1.00
Distance to the lowest polymorph of the same formula in kJ/mol of formula units: 31.1
SG: No. 1

# 2
## Li3V4O5F7 (PBE+U)

Data for crystalline Li3V4O5F7 at its relaxed geometry.

```
Li3V4O5F7
1.0
5.7735 0.0000 0.0000
-0.8242 5.8054 0.0000
-0.8785 -1.2358 5.9845
Li V O F
3 4 5 7
Direct
0.0000 0.0000 0.0000
0.0713 0.5266 0.2355
0.5411 0.2648 0.1798
0.2564 0.0698 0.5215
0.4292 0.6683 0.8450
0.7068 0.8204 0.4860
0.7886 0.3667 0.7179
0.3577 0.7762 0.5696
0.4349 0.3585 0.7498
0.5825 0.1114 0.4580
0.7424 0.7328 0.7951
0.9986 0.0992 0.6568
0.1017 0.5466 0.9038
0.2170 0.2727 0.3018
0.3514 0.9618 0.9874
0.5215 0.6353 0.1736
0.7989 0.2544 0.0132
0.8437 0.5057 0.4451
0.9963 0.8547 0.2785
```

Results
ΔE_f in eV/atom: -2.841
Spin magnetization in μB per cell: 6.00
SG: No. 1

# 3
## Li2VO2F (PBE+U)

Data for crystalline Li2VO2F at its relaxed geometry.

```
Li2VO2F
1.0
5.1913 0.0000 0.0000
-0.0095 5.9931 0.0000
-0.0280 -0.0131 7.3697
Li V O F
8 4 8 4
Direct
0.0000 0.0000 0.0000
0.0015 0.4656 0.0000
0.1412 0.2332 0.7176
0.1846 0.7315 0.6991
0.5024 0.7332 0.0066
0.5370 0.2316 0.9994
0.6959 0.9916 0.7232
0.6974 0.4720 0.7232
0.3387 0.4899 0.3483
0.3394 0.9749 0.3470
0.8448 0.7323 0.3543
0.8529 0.2322 0.3516
0.0122 0.4809 0.5035
0.0120 0.9837 0.5023
0.1753 0.7315 0.1959
0.1884 0.2324 0.2078
0.4998 0.7333 0.5015
0.6768 0.4798 0.2098
0.6769 0.9844 0.2083
0.8421 0.2323 0.8575
0.3448 0.9753 0.8512
0.3457 0.4894 0.8517
0.5091 0.2329 0.5162
0.8428 0.7324 0.8542
```

Results
ΔE_f in eV/atom: -2.626
Spin magnetization in μB per cell: 0.00
Distance to the lowest polymorph of the same formula in kJ/mol of formula units: 50.3
SG: No. 1

# 4
## Li2VO2F (PBE+U)

Data for crystalline Li2VO2F at its relaxed geometry.

```
Li2VO2F
1.0
0.0000 2.0797 2.0797
-4.2683 2.0962 -2.0962
-8.5139 -8.3613 8.3618
O Li F V
8 8 4 4
Direct
0.5000 0.8455 0.0797
0.0000 0.3455 0.5797
0.5000 0.1539 0.9214
0.0000 0.9878 0.7537
0.0000 0.6796 0.9120
0.0000 0.6538 0.4213
0.5000 0.1795 0.4120
0.5000 0.4878 0.2536
0.5000 0.1667 0.1667
0.0000 0.6667 0.1667
0.5000 0.1667 0.6666
0.5000 0.5022 0.9968
0.0000 0.3311 0.8365
0.5000 0.8310 0.3365
0.0000 0.6667 0.6667
0.0000 0.0022 0.4968
0.5000 0.8253 0.5816
0.0000 0.0080 0.2517
0.5001 0.5080 0.7518
0.9999 0.3253 0.0816
0.5000 0.8471 0.8320
0.0000 0.9862 0.0013
0.0000 0.3472 0.3321
0.5000 0.4862 0.5014
```

Results
ΔE_f in eV/atom: -2.668
Spin magnetization in μB per cell: 0.00
Distance to the lowest polymorph of the same formula in kJ/mol of formula units: 26.2

# 5
## Li3V4O11F (PBE+U)

Data for crystalline Li3V4O11F at its relaxed geometry.

```
Li3V4O11F
1.0
4.9906 0.0000 0.0000
-2.3023 4.4287 0.0000
-1.3906 -0.8226 9.8871
Li V O F
3 4 11 1
Direct
0.0000 0.0000 0.0000
0.3205 0.4055 0.5413
0.6702 0.4101 0.9925
0.1009 0.6228 0.2527
0.2952 0.9998 0.7402
0.7360 0.9751 0.2810
0.9708 0.3479 0.7934
0.0179 0.6773 0.8814
0.0538 0.3453 0.1426
0.2192 0.6422 0.6683
0.2769 0.2885 0.8846
0.4354 0.9672 0.1693
0.4906 0.7090 0.3754
0.5876 0.2670 0.6596
0.6775 0.0756 0.8802
0.8159 0.7215 0.1613
0.8901 0.3569 0.3699
0.9930 0.0521 0.6571
0.1261 0.9887 0.3770
```

Results
ΔE_f in eV/atom: -2.378
Spin magnetization in μB per cell: 0.01
Distance to the lowest polymorph of the same formula in kJ/mol of formula units: 5.3
SG: No. 1

# 6
## Li2VO2F (PBE+U)

Data for crystalline Li2VO2F at its relaxed geometry.

```
Li2VO2F
1.0
0.0000 -2.0942 -2.0943
4.1722 6.3546 -6.3546
8.3255 0.0060 -0.0058
Li O F V
8 8 4 4
Direct
0.0000 0.3328 0.8327
0.0000 0.3324 0.3336
0.5000 0.5005 0.0006
0.0000 0.6451 0.1758
0.0000 0.6450 0.6759
0.5000 0.5009 0.4998
0.5000 0.1883 0.1575
0.5000 0.1882 0.6576
0.0000 0.6733 0.9137
0.5000 0.8470 0.5744
0.0000 0.9864 0.7586
0.5000 0.1601 0.9197
0.5000 0.8470 0.0746
0.0000 0.6731 0.4133
0.5000 0.1602 0.4200
0.0000 0.9863 0.2589
0.5000 0.4948 0.7530
0.0000 0.3386 0.0804
0.0000 0.3387 0.5804
0.5000 0.4947 0.2530
0.0000 0.0116 0.9977
0.5000 0.8217 0.3358
0.5000 0.8218 0.8356
0.0000 0.0116 0.4975
```

Results
ΔE_f in eV/atom: -2.693
Spin magnetization in μB per cell: 0.00
Distance to the lowest polymorph of the same formula in kJ/mol of formula units: 11.7

# 7
## Li2VO2F (PBE+U)

Data for crystalline Li2VO2F at its relaxed geometry.

```
Li2VO2F
1.0
-1.4640 2.1000 4.5665
1.4640 -2.1000 4.5665
1.4640 2.1000 -4.5665
Li V O F
2 1 2 1
Direct
0.1907 0.1907 0.0000
0.8093 0.8093 0.0000
0.5000 0.5000 0.0000
0.3489 0.8489 0.5000
0.6511 0.1511 0.5000
0.0000 0.5000 0.5000
```

Results
ΔE_f in eV/atom: -2.610
Spin magnetization in μB per cell: 2.00
Distance to the lowest polymorph of the same formula in kJ/mol of formula units: 59.2
SG: No. 71

# 8
## Li3V2O4F2 (PBE+U)

Data for crystalline Li3V2O4F2 at its relaxed geometry.

```
Li3V2O4F2
1.0
5.9024 0.0000 0.0000
2.7629 5.2632 0.0000
1.0112 2.1078 7.3996
Li V O F
6 4 8 4
Direct
0.0654 0.3388 0.3901
0.4069 0.6287 0.6281
0.4264 0.0987 0.6494
0.5736 0.9013 0.3506
0.5931 0.3713 0.3719
0.9346 0.6612 0.6099
0.2486 0.2485 0.0034
0.2499 0.7475 0.0067
0.7501 0.2525 0.9933
0.7514 0.7515 0.9966
0.0836 0.6295 0.8588
0.0945 0.1441 0.8673
0.4183 0.3475 0.1440
0.4302 0.8601 0.1409
0.5698 0.1399 0.8591
0.5817 0.6525 0.8560
0.9055 0.8559 0.1327
0.9164 0.3705 0.1412
0.2621 0.4696 0.5119
0.2779 0.9887 0.5055
0.7221 0.0113 0.4945
0.7379 0.5304 0.4881
```

Results
ΔE_f in eV/atom: -2.694
Spin magnetization in μB per cell: 6.00
Distance to the lowest polymorph of the same formula in kJ/mol of formula units: 6.1
SG: No. 2

# 9
## Li7VO5F (PBE+U)

Data for crystalline Li7VO5F at its relaxed geometry.

```
Li7VO5F
1.0
5.3779 0.0000 0.0000
-2.6409 4.7135 0.0000
-0.0368 -3.1071 5.0309
Li V O F
7 1 5 1
Direct
0.0000 0.0000 0.0000
0.0123 0.9019 0.3113
0.2720 0.7649 0.6824
0.3101 0.5733 0.0417
0.4398 0.6251 0.2818
0.7611 0.2624 0.2997
0.8167 0.0279 0.6957
0.4855 0.4258 0.6511
0.1404 0.4703 0.4091
0.2991 0.1261 0.8881
0.4390 0.0573 0.4280
0.6021 0.8171 0.9008
0.7629 0.6800 0.4866
0.9358 0.4232 0.9258
```

Results
ΔE_f in eV/atom: -1.655
Spin magnetization in μB per cell: 1.00
Distance to the lowest polymorph of the same formula in kJ/mol of formula units: 955.9
SG: No. 1

# 10
## LiV2OF5 (PBE+U)

Data for crystalline LiV2OF5 at its relaxed geometry.

```
LiV2OF5
1.0
3.3620 -3.3621 0.0000
3.3620 3.3621 0.0000
-0.1016 0.0000 18.6137
Li V O F
4 8 4 20
Direct
0.0002 0.9998 0.0000
0.9998 0.0002 0.5000
0.4934 0.5009 0.2499
0.5009 0.4934 0.7499
0.0056 0.9890 0.8397
0.4747 0.5212 0.9170
0.5046 0.5049 0.0896
0.5049 0.5046 0.5896
0.5212 0.4747 0.4170
0.9721 0.9755 0.1670
0.9755 0.9721 0.6670
0.9890 0.0056 0.3397
0.2063 0.7895 0.9059
0.7047 0.7062 0.1560
0.7062 0.7047 0.6560
0.7895 0.2063 0.4059
0.1825 0.8085 0.2524
0.1900 0.8010 0.7507
0.1953 0.7999 0.0846
0.1956 0.7982 0.5843
0.2090 0.7859 0.4148
0.2842 0.2867 0.1648
0.2867 0.2842 0.6648
0.2978 0.2993 0.3346
0.2993 0.2978 0.8346
0.3068 0.3119 0.0022
0.3119 0.3068 0.5022
0.6896 0.6919 0.0010
0.6919 0.6896 0.5010
0.6937 0.6961 0.3343
0.6961 0.6937 0.8343
0.7859 0.2090 0.9148
0.7982 0.1956 0.0843
0.7999 0.1953 0.5846
0.8010 0.1900 0.2507
0.8085 0.1825 0.7524
```

Results
ΔE_f in eV/atom: -3.056
Spin magnetization in μB per cell: 16.00
Distance to the lowest polymorph of the same formula in kJ/mol of formula units: 4.9
SG: No. 9

# 11
## Li2VO2F (PBE+U)

Data for crystalline Li2VO2F at its relaxed geometry.

```
Li2VO2F
1.0
3.0283 0.0000 0.0000
-1.5052 7.8778 0.0000
-0.0209 -3.6446 9.6815
Li V O F
8 4 8 4
Direct
0.0000 0.0000 0.0000
0.0058 0.0102 0.5152
0.3484 0.6973 0.3479
0.3690 0.7320 0.8527
0.4951 0.9876 0.7829
0.5063 0.0099 0.2600
0.8478 0.6972 0.0968
0.8680 0.7386 0.6148
0.1738 0.3512 0.9354
0.1761 0.3520 0.4258
0.6707 0.3563 0.1833
0.6862 0.3418 0.6898
0.0845 0.2026 0.2280
0.1027 0.2023 0.7231
0.2584 0.5091 0.1425
0.6062 0.2071 0.9816
0.6189 0.2159 0.4817
0.7399 0.5082 0.3915
0.7420 0.4963 0.8881
0.9279 0.8512 0.8076
0.2696 0.5060 0.6412
0.4241 0.8516 0.0670
0.4274 0.8566 0.5461
0.9320 0.8598 0.3097
```

Results
ΔE_f in eV/atom: -2.612
Spin magnetization in μB per cell: 8.00
Distance to the lowest polymorph of the same formula in kJ/mol of formula units: 58.3
SG: No. 1

# 12
## Li5V6O5F19 (PBE+U)

Data for crystalline Li5V6O5F19 at its relaxed geometry.

```
Li5V6O5F19
1.0
5.1992 0.0000 0.0000
0.0418 5.4057 0.0000
0.0766 2.6526 16.0584
Li V O F
5 6 5 19
Direct
0.0000 0.0000 0.0000
0.0111 0.5761 0.3079
0.2437 0.0691 0.5889
0.4196 0.5025 0.9950
0.7261 0.5165 0.6080
0.4807 0.6828 0.7730
0.4844 0.0054 0.1099
0.4972 0.3964 0.4342
0.9314 0.5045 0.1048
0.9581 0.2086 0.7756
0.9919 0.9040 0.4413
0.1796 0.1370 0.4646
0.6553 0.7615 0.0753
0.6765 0.4417 0.7496
0.7615 0.5799 0.4228
0.7694 0.2527 0.0771
0.0394 0.2733 0.6620
0.0486 0.9046 0.3284
0.0751 0.6410 0.9959
0.1545 0.8264 0.1271
0.1679 0.4841 0.7969
0.2552 0.9817 0.7919
0.2567 0.6409 0.4691
0.2669 0.3369 0.1260
0.3429 0.1400 0.9988
0.3457 0.4417 0.3295
0.3740 0.7803 0.6604
0.5371 0.2901 0.5572
0.5399 0.6455 0.8873
0.5400 0.9870 0.2180
0.6759 0.0937 0.4101
0.7539 0.9345 0.7514
0.8598 0.4769 0.2174
0.8749 0.8097 0.5562
0.8849 0.1343 0.8854
```

Results
ΔE_f in eV/atom: -2.938
Spin magnetization in μB per cell: 6.00
Distance to the lowest polymorph of the same formula in kJ/mol of formula units: 75.4
SG: No. 1

# 13
## LiV2OF5 (PBE+U)

Data for crystalline LiV2OF5 at its relaxed geometry.

```
LiV2OF5
1.0
10.3945 0.0000 0.0000
-5.1551 9.0854 0.0000
-0.0026 -5.9587 9.2620
Li V O F
8 16 8 40
Direct
0.0000 0.0000 0.0000
0.0024 0.5011 0.0040
0.2598 0.9990 0.7606
0.4623 0.9233 0.4076
0.4666 0.4286 0.4204
0.5008 0.5011 0.0035
0.9586 0.4223 0.4093
0.9645 0.9282 0.4167
0.1001 0.2142 0.8407
0.1009 0.7066 0.8401
0.1247 0.2211 0.3458
0.1253 0.7183 0.3446
0.3557 0.2210 0.5802
0.3589 0.7201 0.5824
0.3722 0.7145 0.0723
0.3747 0.2128 0.0799
0.6022 0.7126 0.8396
0.6042 0.2098 0.8376
0.6251 0.2189 0.3445
0.6266 0.7219 0.3471
0.8562 0.2209 0.5813
0.8567 0.7193 0.5817
0.8656 0.2068 0.0729
0.8701 0.7109 0.0743
0.2948 0.2736 0.4610
0.2953 0.7736 0.4623
0.4772 0.1614 0.9481
0.4892 0.6558 0.9591
0.7956 0.2729 0.4608
0.7985 0.7750 0.4622
0.9864 0.6547 0.9594
0.9886 0.1583 0.9596
0.0387 0.4645 0.2067
0.0397 0.9664 0.2094
0.0470 0.4634 0.7070
0.0589 0.9673 0.7134
0.1619 0.9591 0.4586
0.1633 0.4620 0.4593
0.1686 0.4723 0.9626
0.1695 0.9701 0.9552
0.2362 0.7846 0.7151
0.2390 0.2707 0.7168
0.2457 0.2691 0.2094
0.2469 0.7706 0.2115
0.2941 0.7799 0.9586
0.3015 0.2854 0.9604
0.4143 0.1451 0.7029
0.4262 0.6572 0.7027
0.4422 0.1769 0.2236
0.4440 0.6662 0.2120
0.4805 0.1419 0.4626
0.4804 0.6378 0.4579
0.5390 0.9661 0.2200
0.5444 0.4710 0.2076
0.5458 0.4687 0.7106
0.5469 0.9673 0.7075
0.6621 0.9596 0.4598
0.6646 0.4612 0.4587
0.6692 0.4693 0.9571
0.6772 0.9663 0.9576
0.7374 0.2725 0.7151
0.7398 0.7718 0.7149
0.7475 0.7704 0.2109
0.7591 0.2824 0.2213
0.8070 0.2924 0.9633
0.8081 0.7909 0.9618
0.9314 0.1567 0.7030
0.9336 0.6595 0.7047
0.9435 0.1634 0.2116
0.9431 0.6643 0.2124
0.9795 0.1392 0.4588
0.9831 0.6427 0.4621
```

Results
ΔE_f in eV/atom: -3.035
Spin magnetization in μB per cell: 32.00
Distance to the lowest polymorph of the same formula in kJ/mol of formula units: 23.4
SG: No. 1